Here is crystalline Ce7Ir3 at its relaxed geometry from Materials Project. Energies are from PBE.

Summary:
M_tot = 4.28 μB per formula unit
DFT total energy = -146.69 eV for the cell shown
energy relative to the elements = -530 meV per atom

a = 6.137 Å, b = 9.881 Å, c = 9.881 Å
α = 120.00°, β = 90.00°, γ = 90.00°
Atoms (fractional coordinates):
Ir 0.698 0.187 0.374
Ir 0.198 0.813 0.187
Ir 0.698 0.626 0.813
Ir 0.198 0.813 0.626
Ir 0.198 0.374 0.187
Ir 0.698 0.187 0.813
Ce 0.748 0.872 0.128
Ce 0.248 0.128 0.872
Ce 0.747 0.871 0.743
Ce 0.247 0.129 0.257
Ce 0.956 0.462 0.925
Ce 0.956 0.462 0.538
Ce 0.456 0.538 0.075
Ce 0.456 0.538 0.462
Ce 0.956 0.075 0.538
Ce 0.953 0.667 0.333
Ce 0.456 0.925 0.462
Ce 0.453 0.333 0.667
Ce 0.247 0.743 0.871
Ce 0.747 0.257 0.129



Here is crystalline Ba3SrC8O16 at its relaxed geometry from Materials Project. Energies are from PBE.

Summary:
total energy after the MP2020 corrections = -0.291 hartree per atom
M_tot = 0.00 μB per formula unit
DFT total energy = -210.69 eV for the cell shown
energy relative to the elements = -2187 meV per atom

a = 6.086 Å, b = 10.441 Å, c = 7.933 Å
α = 103.48°, β = 110.17°, γ = 91.00°
Atoms (fractional coordinates):
C 0.335 0.699 0.030
C 0.836 0.198 0.032
C 0.866 0.000 0.468
C 0.140 0.998 0.535
C 0.637 0.503 0.534
C 0.664 0.302 0.968
C 0.364 0.503 0.470
C 0.164 0.802 0.962
O 0.737 0.894 0.369
O 0.290 0.631 0.129
O 0.219 0.888 0.491
O 0.221 0.871 0.869
O 0.489 0.311 0.021
O 0.761 0.611 0.632
O 0.265 0.107 0.628
O 0.791 0.110 0.519
O 0.714 0.394 0.483
O 0.512 0.690 0.978
O 0.711 0.371 0.871
O 0.790 0.130 0.131
O 0.235 0.397 0.372
O 0.981 0.810 0.006
O 0.288 0.613 0.523
O 0.012 0.190 0.981
Ba 0.919 0.671 0.250
Ba 0.082 0.330 0.750
Ba 0.418 0.167 0.250
Sr 0.558 0.810 0.750



Here is crystalline Ac2GePd at its relaxed geometry from Materials Project. Energies are from PBE.

Summary:
DFT total energy = -20.71 eV for the cell shown
energy relative to the elements = -665 meV per atom

a = 5.464 Å, b = 5.464 Å, c = 5.464 Å
α = 60.00°, β = 60.00°, γ = 60.00°
Atoms (fractional coordinates):
Pd 0.500 0.500 0.500
Ac 0.250 0.250 0.250
Ac 0.750 0.750 0.750
Ge 0.000 0.000 0.000



Here is crystalline Na4Bi2C4SO16 at its relaxed geometry from Materials Project. Energies are from PBE.

Summary:
total energy after the MP2020 corrections = -0.252 hartree per atom
M_tot = 0.00 μB per formula unit
DFT total energy = -695.76 eV for the cell shown
E above lowest polymorph = 20 meV/atom
energy relative to the elements = -1913 meV per atom

a = 10.296 Å, b = 10.279 Å, c = 17.963 Å
α = 89.84°, β = 72.62°, γ = 119.25°
Atoms (fractional coordinates):
O 0.719 0.976 0.926
O 0.303 0.899 0.533
O 0.852 0.310 0.859
O 0.342 0.354 0.423
O 0.388 0.376 0.837
O 0.067 0.165 0.033
O 0.931 0.835 0.968
O 0.840 0.229 0.674
O 0.673 0.643 0.570
O 0.680 0.668 0.693
O 0.593 0.794 0.862
O 0.845 0.481 0.295
O 0.600 0.741 0.427
O 0.676 0.956 0.141
O 0.590 0.106 0.673
O 0.393 0.251 0.570
O 0.303 0.400 0.033
O 0.935 0.717 0.848
O 0.593 0.297 0.360
O 0.138 0.275 0.838
O 0.696 0.091 0.469
O 0.402 0.755 0.069
O 0.697 0.601 0.968
O 0.720 0.361 0.795
O 0.349 0.050 0.857
O 0.719 0.485 0.173
O 0.066 0.402 0.033
O 0.594 0.234 0.921
O 0.066 0.781 0.651
O 0.398 0.718 0.646
O 0.720 0.487 0.420
O 0.932 0.088 0.466
O 0.139 0.774 0.337
O 0.934 0.209 0.348
O 0.674 0.133 0.069
O 0.327 0.846 0.801
O 0.294 0.131 0.696
O 0.150 0.681 0.142
O 0.138 0.015 0.201
O 0.332 0.349 0.299
O 0.297 0.630 0.195
O 0.720 0.981 0.664
O 0.292 0.541 0.574
O 0.678 0.156 0.193
O 0.283 0.525 0.838
O 0.674 0.466 0.643
O 0.844 0.736 0.172
O 0.345 0.860 0.922
O 0.934 0.329 0.467
O 0.066 0.901 0.533
O 0.349 0.547 0.360
O 0.840 0.986 0.796
O 0.855 0.812 0.359
O 0.066 0.282 0.151
O 0.283 0.024 0.338
O 0.067 0.664 0.533
O 0.714 0.853 0.298
O 0.142 0.176 0.645
O 0.387 0.876 0.339
O 0.598 0.617 0.166
O 0.147 0.521 0.700
O 0.286 0.039 0.075
O 0.936 0.598 0.966
O 0.389 0.212 0.150
Bi 0.497 0.750 0.254
Bi 0.000 0.247 0.748
Bi 0.501 0.252 0.749
Bi 0.508 0.251 0.249
Bi 0.496 0.491 0.499
Bi 0.505 0.752 0.753
Bi 0.495 0.003 0.000
Bi 0.999 0.743 0.248
C 0.270 0.891 0.337
C 0.270 0.391 0.837
C 0.279 0.592 0.640
C 0.283 0.689 0.136
C 0.719 0.107 0.670
C 0.720 0.420 0.358
C 0.721 0.612 0.170
C 0.722 0.302 0.859
C 0.339 0.919 0.860
C 0.272 0.088 0.142
C 0.719 0.919 0.862
C 0.339 0.416 0.361
C 0.276 0.187 0.637
C 0.675 0.082 0.135
C 0.674 0.591 0.635
C 0.722 0.803 0.361
Na 0.922 0.414 0.164
Na 0.072 0.089 0.340
Na 0.329 0.212 0.959
Na 0.920 0.690 0.461
Na 0.327 0.619 0.962
Na 0.682 0.896 0.535
Na 0.067 0.591 0.841
Na 0.338 0.117 0.461
Na 0.682 0.784 0.034
Na 0.921 0.005 0.165
Na 0.330 0.415 0.164
Na 0.918 0.501 0.660
Na 0.920 0.211 0.961
Na 0.328 0.920 0.665
Na 0.925 0.913 0.668
Na 0.320 0.701 0.460
S 0.125 0.812 0.563
S 0.875 0.688 0.938
S 0.874 0.184 0.437
S 0.125 0.312 0.063



Here is crystalline Na10YNb7Si12O48 at its relaxed geometry from Materials Project. Energies are from PBE.

Summary:
total energy after the MP2020 corrections = -0.296 hartree per atom
M_tot = 0.00 μB per formula unit
DFT total energy = -1784.39 eV for the cell shown
energy relative to the elements = -3010 meV per atom

a = 18.214 Å, b = 9.119 Å, c = 22.705 Å
α = 90.00°, β = 90.00°, γ = 120.13°
Atoms (fractional coordinates):
Nb 0.167 0.666 0.816
Nb 0.170 0.672 0.313
Nb 0.172 0.675 0.020
Nb 0.337 0.334 0.187
Nb 0.834 0.334 0.978
Nb 0.164 0.666 0.516
Nb 0.667 0.667 0.815
Nb 0.004 0.001 0.145
Nb 0.662 0.659 0.018
Nb 0.001 0.002 0.357
Nb 0.500 0.000 0.859
Nb 0.496 0.998 0.145
Nb 0.000 0.001 0.859
Nb 0.498 0.995 0.354
Nb 0.666 0.669 0.516
Nb 0.500 0.997 0.646
Nb 0.664 0.666 0.313
Nb 0.000 0.996 0.645
Nb 0.834 0.334 0.478
Nb 0.333 0.333 0.978
Nb 0.330 0.335 0.479
O 0.918 0.307 0.251
O 0.752 0.357 0.423
O 0.849 0.172 0.029
O 0.846 0.530 0.251
O 0.147 0.475 0.756
O 0.590 0.706 0.756
O 0.515 0.191 0.195
O 0.099 0.030 0.308
O 0.737 0.303 0.029
O 0.751 0.846 0.072
O 0.489 0.813 0.090
O 0.753 0.145 0.924
O 0.807 0.522 0.643
O 0.262 0.819 0.756
O 0.738 0.093 0.644
O 0.574 0.651 0.077
O 0.015 0.838 0.694
O 0.918 0.821 0.588
O 0.418 0.821 0.587
O 0.917 0.016 0.807
O 0.511 0.836 0.411
O 0.321 0.142 0.141
O 0.568 0.636 0.360
O 0.263 0.691 0.973
O 0.808 0.095 0.143
O 0.752 0.641 0.858
O 0.345 0.161 0.751
O 0.237 0.169 0.529
O 0.584 0.199 0.691
O 0.252 0.657 0.571
O 0.819 0.495 0.924
O 0.419 0.530 0.751
O 0.075 0.647 0.071
O 0.451 0.372 0.644
O 0.752 0.657 0.570
O 0.652 0.468 0.472
O 0.993 0.167 0.307
O 0.250 0.857 0.076
O 0.346 0.525 0.528
O 0.592 0.155 0.087
O 0.084 0.199 0.691
O 0.919 0.819 0.306
O 0.347 0.167 0.026
O 0.093 0.030 0.587
O 0.267 0.842 0.475
O 0.489 0.160 0.587
O 0.082 0.470 0.976
O 0.928 0.362 0.925
O 0.403 0.832 0.193
O 0.986 0.814 0.088
O 0.082 0.968 0.194
O 0.512 0.189 0.910
O 0.587 0.471 0.257
O 0.427 0.359 0.922
O 0.593 0.030 0.588
O 0.915 0.528 0.029
O 0.906 0.976 0.409
O 0.252 0.144 0.923
O 0.260 0.688 0.257
O 0.251 0.859 0.360
O 0.237 0.173 0.244
O 0.651 0.824 0.257
O 0.735 0.309 0.751
O 0.068 0.640 0.356
O 0.581 0.475 0.971
O 0.430 0.501 0.140
O 0.248 0.360 0.144
O 0.235 0.309 0.751
O 0.095 0.169 0.091
O 0.751 0.861 0.358
O 0.591 0.166 0.807
O 0.581 0.692 0.472
O 0.992 0.817 0.808
O 0.175 0.848 0.571
O 0.405 0.835 0.911
O 0.416 0.309 0.243
O 0.654 0.839 0.975
O 0.900 0.969 0.692
O 0.580 0.192 0.409
O 0.150 0.825 0.256
O 0.239 0.094 0.644
O 0.417 0.526 0.026
O 0.091 0.166 0.807
O 0.736 0.170 0.529
O 0.919 0.530 0.751
O 0.012 0.191 0.911
O 0.238 0.308 0.027
O 0.953 0.373 0.646
O 0.417 0.016 0.807
O 0.928 0.494 0.424
O 0.679 0.495 0.357
O 0.407 0.985 0.411
O 0.414 0.807 0.308
O 0.901 0.834 0.192
O 0.429 0.492 0.423
O 0.180 0.496 0.358
O 0.675 0.849 0.571
O 0.079 0.493 0.572
O 0.016 0.198 0.192
O 0.307 0.521 0.643
O 0.846 0.524 0.528
O 0.766 0.839 0.473
O 0.156 0.833 0.972
O 0.586 0.974 0.190
O 0.342 0.519 0.244
O 0.905 0.835 0.911
O 0.674 0.499 0.070
O 0.583 0.976 0.910
O 0.820 0.144 0.424
O 0.580 0.493 0.572
O 0.680 0.862 0.859
O 0.914 0.302 0.530
O 0.763 0.690 0.974
O 0.069 0.497 0.859
O 0.417 0.304 0.527
O 0.083 0.689 0.470
O 0.568 0.495 0.857
O 0.176 0.499 0.078
O 0.013 0.835 0.409
O 0.589 0.016 0.306
O 0.989 0.160 0.587
O 0.952 0.523 0.144
O 0.156 0.470 0.474
O 0.739 0.385 0.143
O 0.492 0.816 0.808
O 0.083 0.975 0.911
O 0.920 0.024 0.087
O 0.090 0.705 0.756
O 0.845 0.161 0.751
O 0.516 0.838 0.694
O 0.180 0.863 0.858
O 0.089 0.477 0.256
O 0.734 0.162 0.252
O 0.648 0.476 0.756
O 0.320 0.494 0.923
O 0.486 0.173 0.310
O 0.253 0.360 0.423
O 0.252 0.640 0.858
O 0.762 0.819 0.756
O 0.418 0.027 0.092
O 0.083 0.189 0.411
O 0.762 0.703 0.256
O 0.324 0.150 0.423
O 0.401 0.969 0.692
Si 0.142 0.289 0.752
Si 0.641 0.993 0.250
Si 0.856 0.996 0.752
Si 0.312 0.959 0.417
Si 0.982 0.336 0.583
Si 0.684 0.332 0.083
Si 0.685 0.036 0.583
Si 0.021 0.664 0.414
Si 0.642 0.289 0.752
Si 0.477 0.622 0.082
Si 0.022 0.379 0.919
Si 0.002 0.716 0.753
Si 0.002 0.290 0.252
Si 0.812 0.958 0.416
Si 0.168 0.958 0.917
Si 0.856 0.716 0.251
Si 0.519 0.374 0.916
Si 0.983 0.630 0.083
Si 0.192 0.337 0.084
Si 0.520 0.669 0.416
Si 0.503 0.716 0.753
Si 0.312 0.664 0.917
Si 0.167 0.377 0.416
Si 0.184 0.034 0.583
Si 0.667 0.959 0.917
Si 0.356 0.710 0.250
Si 0.834 0.629 0.582
Si 0.498 0.285 0.251
Si 0.833 0.036 0.082
Si 0.811 0.665 0.918
Si 0.333 0.631 0.583
Si 0.333 0.047 0.083
Si 0.146 0.000 0.251
Si 0.482 0.336 0.583
Si 0.668 0.376 0.415
Si 0.356 0.995 0.752
Na 0.316 0.624 0.749
Na 0.833 0.332 0.334
Na 0.658 0.656 0.166
Na 0.000 0.992 0.497
Na 0.662 0.667 0.665
Na 0.996 0.367 0.748
Na 0.815 0.007 0.249
Na 0.501 0.986 0.498
Na 0.495 0.000 0.000
Na 0.496 0.367 0.748
Na 0.483 0.299 0.417
Na 0.688 0.009 0.749
Na 0.816 0.624 0.749
Na 0.185 0.368 0.249
Na 0.333 0.333 0.332
Na 0.997 0.625 0.249
Na 0.831 0.692 0.083
Na 0.651 0.968 0.085
Na 0.162 0.666 0.665
Na 0.655 0.338 0.583
Na 0.153 0.338 0.584
Na 0.333 0.333 0.836
Na 0.686 0.366 0.248
Na 0.174 0.684 0.164
Na 0.834 0.333 0.835
Na 0.188 0.008 0.749
Na 0.833 0.973 0.583
Na 0.332 0.971 0.583
Na 0.005 0.000 0.998
Na 0.017 0.338 0.082
Y 0.832 0.333 0.184
Y 0.334 0.335 0.683
Y 0.834 0.335 0.683